# Cs9Fe2S7 | the Materials Project database | PBE-GGA | optimized geometry
data_Cs9Fe2S7
_chemical_formula_sum 'Cs36 Fe8 S28'
_cell_length_a 13.883
_cell_length_b 13.883
_cell_length_c 13.883
_cell_angle_alpha 90.00
_cell_angle_beta 90.00
_cell_angle_gamma 90.00
_space_group_name_H-M_alt 'P 1'
_space_group_IT_number 1
loop_
_space_group_symop_operation_xyz
'x,y,z'
loop_
_atom_site_label
_atom_site_type_symbol
_atom_site_fract_x
_atom_site_fract_y
_atom_site_fract_z
Cs1 Cs 0.003 0.298 0.833
Cs2 Cs 0.042 0.792 0.176
Cs3 Cs 0.059 0.059 0.059
Cs4 Cs 0.085 0.585 0.915
Cs5 Cs 0.167 0.503 0.202
Cs6 Cs 0.176 0.042 0.792
Cs7 Cs 0.202 0.167 0.503
Cs8 Cs 0.208 0.676 0.458
Cs9 Cs 0.237 0.237 0.237
Cs10 Cs 0.263 0.763 0.737
Cs11 Cs 0.292 0.324 0.958
Cs12 Cs 0.298 0.833 0.003
Cs13 Cs 0.324 0.958 0.292
Cs14 Cs 0.333 0.497 0.702
Cs15 Cs 0.415 0.415 0.415
Cs16 Cs 0.441 0.941 0.559
Cs17 Cs 0.458 0.208 0.676
Cs18 Cs 0.497 0.702 0.333
Cs19 Cs 0.503 0.202 0.167
Cs20 Cs 0.542 0.708 0.824
Cs21 Cs 0.559 0.441 0.941
Cs22 Cs 0.585 0.915 0.085
Cs23 Cs 0.667 0.997 0.798
Cs24 Cs 0.676 0.458 0.208
Cs25 Cs 0.702 0.333 0.497
Cs26 Cs 0.708 0.824 0.542
Cs27 Cs 0.737 0.263 0.763
Cs28 Cs 0.763 0.737 0.263
Cs29 Cs 0.792 0.176 0.042
Cs30 Cs 0.798 0.667 0.997
Cs31 Cs 0.824 0.542 0.708
Cs32 Cs 0.833 0.003 0.298
Cs33 Cs 0.915 0.085 0.585
Cs34 Cs 0.941 0.559 0.441
Cs35 Cs 0.958 0.292 0.324
Cs36 Cs 0.997 0.798 0.667
Fe1 Fe 0.071 0.929 0.429
Fe2 Fe 0.100 0.400 0.600
Fe3 Fe 0.400 0.600 0.100
Fe4 Fe 0.429 0.071 0.929
Fe5 Fe 0.571 0.571 0.571
Fe6 Fe 0.600 0.100 0.400
Fe7 Fe 0.900 0.900 0.900
Fe8 Fe 0.929 0.429 0.071
S1 S 0.050 0.320 0.077
S2 S 0.056 0.839 0.912
S3 S 0.077 0.050 0.320
S4 S 0.088 0.556 0.661
S5 S 0.161 0.412 0.444
S6 S 0.180 0.923 0.550
S7 S 0.198 0.302 0.698
S8 S 0.302 0.698 0.198
S9 S 0.320 0.077 0.050
S10 S 0.339 0.588 0.944
S11 S 0.412 0.444 0.161
S12 S 0.423 0.950 0.820
S13 S 0.444 0.161 0.412
S14 S 0.450 0.680 0.577
S15 S 0.550 0.180 0.923
S16 S 0.556 0.661 0.088
S17 S 0.577 0.450 0.680
S18 S 0.588 0.944 0.339
S19 S 0.661 0.088 0.556
S20 S 0.680 0.577 0.450
S21 S 0.698 0.198 0.302
S22 S 0.802 0.802 0.802
S23 S 0.820 0.423 0.950
S24 S 0.839 0.912 0.056
S25 S 0.912 0.056 0.839
S26 S 0.923 0.550 0.180
S27 S 0.944 0.339 0.588
S28 S 0.950 0.820 0.423
# SG ... P2_13 (198)
# Volume ... 2675.83 Å³ per cell
# Formation energy ... -16.789 eV per formula unit